(1)
A plane-wave DFT calculation with GGA-PBE was carried out for a geometry-optimized UW4C4 structure.

Results
As for the spin magnetization: 0.2 μB per formula unit. The calculated formation energy is -0.120 eV/atom.

Cell: 8.4145 8.4145 3.1313 Å, 90.00 90.00 90.00°
Closest atoms and distances in Å follow each position.
Atoms (fractional coordinates):
1 C 0.7198 0.4101 0.0000  4 W 2.10-2.14
2 C 0.2802 0.5899 0.0000  4 W 2.10-2.14
3 C 0.1006 0.2090 0.5000  4 W 2.12-2.17
4 C 0.8994 0.7910 0.5000  4 W 2.12-2.17
5 C 0.7910 0.1006 0.5000  4 W 2.12-2.17
6 C 0.2090 0.8994 0.5000  4 W 2.12-2.17
7 C 0.4101 0.2802 0.0000  4 W 2.10-2.14
8 C 0.5899 0.7198 0.0000  4 W 2.10-2.14
9 W 0.6382 0.1748 0.0000  4 C 2.10-2.12
10 W 0.3403 0.1212 0.5000  4 C 2.14-2.17
11 W 0.1212 0.6597 0.5000  4 C 2.14-2.17
12 W 0.1748 0.3618 0.0000  4 C 2.10-2.12
13 W 0.3618 0.8252 0.0000  4 C 2.10-2.12
14 W 0.8788 0.3403 0.5000  4 C 2.14-2.17
15 W 0.6597 0.8788 0.5000  4 C 2.14-2.17
16 W 0.8252 0.6382 0.0000  4 C 2.10-2.12
17 U 0.5000 0.5000 0.5000  8 C 2.54
18 U 0.0000 0.0000 0.0000  8 C 2.50

***

(2)
A plane-wave DFT calculation with GGA-PBE was carried out for a geometry-optimized UW2C2 structure.

Results
As for the spin magnetization: 2.6 μB per formula unit. The calculated formation energy is 1.438 eV/atom.

Cell: 5.2006 9.0892 9.0892 Å, 90.00 90.00 90.00°
Closest atoms and distances in Å follow each position.
Atoms (fractional coordinates):
1 W 0.0000 0.7126 0.2901  2 C 1.92-1.93
2 W 0.0000 0.2901 0.2874  2 C 1.92-1.93
3 W 0.0000 0.7099 0.7126  2 C 1.92-1.93
4 W 0.5000 0.7874 0.2100  2 C 1.92-1.93
5 W 0.5000 0.2100 0.2126  2 C 1.92-1.93
6 W 0.5000 0.7900 0.7874  2 C 1.92-1.93
7 W 0.0000 0.2874 0.7099  2 C 1.92-1.93
8 W 0.5000 0.2126 0.7900  2 C 1.92-1.93
9 C 0.5000 0.9984 0.2234  2 W 1.92-1.93
10 C 0.0000 0.5017 0.2760  2 W 1.92-1.93
11 C 0.5000 0.2234 0.0016  2 W 1.92-1.93
12 C 0.5000 0.7766 0.9984  2 W 1.92-1.93
13 C 0.0000 0.2760 0.4983  2 W 1.92-1.93
14 C 0.0000 0.4983 0.7240  2 W 1.92-1.93
15 C 0.0000 0.7240 0.5017  2 W 1.92-1.93
16 C 0.5000 0.0016 0.7766  2 W 1.92-1.93
17 U 0.5000 0.0000 0.5000  2 C 2.51, 2 U 2.60
18 U 0.5000 0.5000 0.0000  2 C 2.51, 2 U 2.60
19 U 0.0000 0.0000 0.5000  2 C 2.51, 2 U 2.60
20 U 0.0000 0.5000 0.0000  2 C 2.51, 2 U 2.60

***

(3)
A plane-wave DFT calculation with GGA-PBE was carried out for a geometry-optimized UW4C4 structure.

Results
As for the spin magnetization: 0.7 μB per formula unit. The calculated formation energy is -0.125 eV/atom.

Cell: 8.4102 8.4102 3.1368 Å, 90.00 90.00 90.00°
Closest atoms and distances in Å follow each position.
Atoms (fractional coordinates):
1 C 0.2261 0.0848 0.5000  4 W 2.08-2.15
2 C 0.3943 0.7055 0.0000  4 W 2.11-2.19
3 C 0.9152 0.2261 0.5000  4 W 2.08-2.15
4 C 0.2945 0.3943 0.0000  4 W 2.11-2.19
5 C 0.7055 0.6057 0.0000  4 W 2.11-2.19
6 C 0.0848 0.7739 0.5000  4 W 2.08-2.15
7 C 0.7739 0.9152 0.5000  4 W 2.08-2.15
8 C 0.6057 0.2945 0.0000  4 W 2.11-2.19
9 W 0.1453 0.3187 0.5000  4 C 2.08-2.11
10 W 0.6813 0.1453 0.5000  4 C 2.08-2.11
11 W 0.6133 0.8467 0.0000  4 C 2.15-2.19
12 W 0.3187 0.8547 0.5000  4 C 2.08-2.11
13 W 0.1533 0.6133 0.0000  4 C 2.15-2.19
14 W 0.8467 0.3867 0.0000  4 C 2.15-2.19
15 W 0.3867 0.1533 0.0000  4 C 2.15-2.19
16 W 0.8547 0.6813 0.5000  4 C 2.08-2.11
17 U 0.5000 0.5000 0.5000  8 C 2.50
18 U 0.0000 0.0000 0.0000  8 C 2.57